Entry 1:
{"formula": "In5S8", "functional": "PBE", "state": "optimized geometry", "final_energy_ev_per_atom": -4.03, "e_form_mev_per_atom": -740, "lattice_angstrom": [[0.000, 5.432, 5.432], [5.432, 0.000, 5.432], [5.432, 5.432, 0.000]], "species": ["In", "In", "In", "In", "In", "S", "S", "S", "S", "S", "S", "S", "S"], "frac_coords": [[0.000, 0.000, 0.000], [0.147, 0.618, 0.618], [0.618, 0.147, 0.618], [0.618, 0.618, 0.147], [0.618, 0.618, 0.618], [0.378, 0.378, 0.378], [0.378, 0.378, 0.865], [0.378, 0.865, 0.378], [0.403, 0.866, 0.866], [0.865, 0.378, 0.378], [0.866, 0.403, 0.866], [0.866, 0.866, 0.403], [0.866, 0.866, 0.866]]}

=====

Entry 2:
{"formula": "In2S3", "functional": "PBE", "state": "optimized geometry", "final_energy_ev_per_atom": -4.09, "e_form_mev_per_atom": -812, "lattice_angstrom": [[3.331, 1.923, 5.973], [-3.331, 1.923, 5.973], [0.000, -3.846, 5.973]], "species": ["In", "In", "In", "In", "S", "S", "S", "S", "S", "S"], "frac_coords": [[0.146, 0.146, 0.146], [0.354, 0.354, 0.354], [0.646, 0.646, 0.646], [0.854, 0.854, 0.854], [0.049, 0.750, 0.451], [0.250, 0.549, 0.951], [0.451, 0.049, 0.750], [0.549, 0.951, 0.250], [0.750, 0.451, 0.049], [0.951, 0.250, 0.549]]}

=====

Entry 3:
{"formula": "In2S3", "functional": "PBE", "state": "optimized geometry", "final_energy_ev_per_atom": -3.96, "e_form_mev_per_atom": -675, "lattice_angstrom": [[6.714, -3.824, 0.000], [6.714, 3.824, 0.000], [-4.088, 0.000, 12.887]], "species": ["In", "In", "In", "In", "In", "In", "In", "In", "S", "S", "S", "S", "S", "S", "S", "S", "S", "S", "S", "S"], "frac_coords": [[0.000, 0.000, 0.000], [0.198, 0.198, 0.228], [0.209, 0.209, 0.559], [0.249, 0.755, 0.716], [0.297, 0.297, 0.872], [0.712, 0.712, 0.033], [0.748, 0.748, 0.715], [0.755, 0.249, 0.716], [0.110, 0.110, 0.853], [0.113, 0.655, 0.853], [0.129, 0.129, 0.369], [0.373, 0.883, 0.105], [0.393, 0.861, 0.606], [0.401, 0.401, 0.606], [0.624, 0.624, 0.839], [0.655, 0.113, 0.853], [0.861, 0.393, 0.606], [0.883, 0.373, 0.105], [0.886, 0.886, 0.620], [0.896, 0.896, 0.123]]}

=====

Entry 4:
{"formula": "In2S3", "functional": "PBE", "state": "optimized geometry", "final_energy_ev_per_atom": -4.10, "e_form_mev_per_atom": -815, "lattice_angstrom": [[-1.993, 6.073, 2.940], [1.993, -6.073, 2.940], [1.993, 6.073, -2.940]], "species": ["In", "In", "S", "S", "S"], "frac_coords": [[0.159, 0.000, 0.159], [0.841, 0.000, 0.841], [0.102, 0.767, 0.335], [0.432, 0.767, 0.665], [0.755, 0.755, 0.000]]}

=====

Entry 5:
{"formula": "In5S4", "functional": "PBE", "state": "optimized geometry", "final_energy_ev_per_atom": -3.72, "e_form_mev_per_atom": -581, "lattice_angstrom": [[12.709, 0.000, 0.000], [0.000, 12.709, 0.000], [0.000, 0.000, 12.709]], "species": ["In", "In", "In", "In", "In", "In", "In", "In", "In", "In", "In", "In", "In", "In", "In", "In", "In", "In", "In", "In", "In", "In", "In", "In", "In", "In", "In", "In", "In", "In", "In", "In", "In", "In", "In", "In", "In", "In", "In", "In", "S", "S", "S", "S", "S", "S", "S", "S", "S", "S", "S", "S", "S", "S", "S", "S", "S", "S", "S", "S", "S", "S", "S", "S", "S", "S", "S", "S", "S", "S", "S", "S"], "frac_coords": [[0.027, 0.068, 0.268], [0.027, 0.432, 0.768], [0.068, 0.232, 0.527], [0.068, 0.268, 0.027], [0.099, 0.599, 0.901], [0.099, 0.901, 0.401], [0.231, 0.731, 0.769], [0.231, 0.769, 0.269], [0.232, 0.527, 0.068], [0.232, 0.973, 0.568], [0.268, 0.027, 0.068], [0.268, 0.473, 0.568], [0.269, 0.231, 0.769], [0.269, 0.269, 0.269], [0.401, 0.099, 0.901], [0.401, 0.401, 0.401], [0.432, 0.732, 0.527], [0.432, 0.768, 0.027], [0.473, 0.568, 0.268], [0.473, 0.932, 0.768], [0.527, 0.068, 0.232], [0.527, 0.432, 0.732], [0.568, 0.232, 0.973], [0.568, 0.268, 0.473], [0.599, 0.599, 0.599], [0.599, 0.901, 0.099], [0.731, 0.731, 0.731], [0.731, 0.769, 0.231], [0.732, 0.527, 0.432], [0.732, 0.973, 0.932], [0.768, 0.027, 0.432], [0.768, 0.473, 0.932], [0.769, 0.231, 0.731], [0.769, 0.269, 0.231], [0.901, 0.099, 0.599], [0.901, 0.401, 0.099], [0.932, 0.732, 0.973], [0.932, 0.768, 0.473], [0.973, 0.568, 0.232], [0.973, 0.932, 0.732], [0.074, 0.243, 0.825], [0.074, 0.257, 0.325], [0.075, 0.075, 0.075], [0.075, 0.425, 0.575], [0.175, 0.574, 0.257], [0.175, 0.926, 0.757], [0.243, 0.675, 0.574], [0.243, 0.825, 0.074], [0.257, 0.175, 0.574], [0.257, 0.325, 0.074], [0.325, 0.074, 0.257], [0.325, 0.426, 0.757], [0.425, 0.575, 0.075], [0.425, 0.925, 0.575], [0.426, 0.743, 0.825], [0.426, 0.757, 0.325], [0.574, 0.243, 0.675], [0.574, 0.257, 0.175], [0.575, 0.075, 0.425], [0.575, 0.425, 0.925], [0.675, 0.574, 0.243], [0.675, 0.926, 0.743], [0.743, 0.675, 0.926], [0.743, 0.825, 0.426], [0.757, 0.175, 0.926], [0.757, 0.325, 0.426], [0.825, 0.074, 0.243], [0.825, 0.426, 0.743], [0.925, 0.575, 0.425], [0.925, 0.925, 0.925], [0.926, 0.743, 0.675], [0.926, 0.757, 0.175]]}

=====

Entry 6:
{"formula": "InSbS3", "functional": "PBE", "state": "optimized geometry", "final_energy_ev_per_atom": -4.26, "e_form_mev_per_atom": -700, "lattice_angstrom": [[9.541, 0.000, 0.000], [0.000, 3.893, 0.000], [0.000, 0.000, 13.508]], "species": ["In", "In", "In", "In", "Sb", "Sb", "Sb", "Sb", "S", "S", "S", "S", "S", "S", "S", "S", "S", "S", "S", "S"], "frac_coords": [[0.148, 0.250, 0.044], [0.352, 0.750, 0.544], [0.648, 0.250, 0.456], [0.852, 0.750, 0.956], [0.027, 0.250, 0.642], [0.473, 0.750, 0.142], [0.527, 0.250, 0.858], [0.973, 0.750, 0.358], [0.000, 0.250, 0.884], [0.000, 0.750, 0.116], [0.159, 0.250, 0.480], [0.187, 0.750, 0.701], [0.313, 0.250, 0.201], [0.341, 0.750, 0.980], [0.500, 0.250, 0.616], [0.500, 0.750, 0.384], [0.659, 0.250, 0.020], [0.687, 0.750, 0.799], [0.813, 0.250, 0.299], [0.841, 0.750, 0.520]]}

=====

Entry 7:
{"formula": "Sm4InSbS9", "functional": "PBE", "state": "optimized geometry", "final_energy_ev_per_atom": -5.71, "e_form_mev_per_atom": -1818, "lattice_angstrom": [[10.121, 0.000, 0.000], [0.000, 10.121, 0.000], [0.000, 0.000, 27.871]], "species": ["Sm", "Sm", "Sm", "Sm", "Sm", "Sm", "Sm", "Sm", "Sm", "Sm", "Sm", "Sm", "Sm", "Sm", "Sm", "Sm", "Sm", "Sm", "Sm", "Sm", "Sm", "Sm", "Sm", "Sm", "Sm", "Sm", "Sm", "Sm", "Sm", "Sm", "Sm", "Sm", "In", "In", "In", "In", "In", "In", "In", "In", "Sb", "Sb", "Sb", "Sb", "Sb", "Sb", "Sb", "Sb", "S", "S", "S", "S", "S", "S", "S", "S", "S", "S", "S", "S", "S", "S", "S", "S", "S", "S", "S", "S", "S", "S", "S", "S", "S", "S", "S", "S", "S", "S", "S", "S", "S", "S", "S", "S", "S", "S", "S", "S", "S", "S", "S", "S", "S", "S", "S", "S", "S", "S", "S", "S", "S", "S", "S", "S", "S", "S", "S", "S", "S", "S", "S", "S", "S", "S", "S", "S", "S", "S", "S", "S"], "frac_coords": [[0.000, 0.234, 0.301], [0.000, 0.766, 0.801], [0.011, 0.348, 0.447], [0.057, 0.727, 0.593], [0.060, 0.275, 0.588], [0.152, 0.511, 0.197], [0.225, 0.560, 0.338], [0.227, 0.443, 0.843], [0.234, 0.000, 0.699], [0.266, 0.500, 0.051], [0.273, 0.943, 0.907], [0.275, 0.060, 0.412], [0.348, 0.011, 0.553], [0.440, 0.775, 0.162], [0.443, 0.227, 0.157], [0.489, 0.848, 0.303], [0.500, 0.266, 0.949], [0.500, 0.734, 0.449], [0.511, 0.152, 0.803], [0.557, 0.773, 0.657], [0.560, 0.225, 0.662], [0.652, 0.989, 0.053], [0.725, 0.940, 0.912], [0.727, 0.057, 0.407], [0.734, 0.500, 0.551], [0.766, 0.000, 0.199], [0.773, 0.557, 0.343], [0.775, 0.440, 0.838], [0.848, 0.489, 0.697], [0.940, 0.725, 0.088], [0.943, 0.273, 0.093], [0.989, 0.652, 0.947], [0.014, 0.796, 0.453], [0.204, 0.986, 0.047], [0.296, 0.486, 0.703], [0.486, 0.296, 0.297], [0.514, 0.704, 0.797], [0.704, 0.514, 0.203], [0.796, 0.014, 0.547], [0.986, 0.204, 0.953], [0.010, 0.142, 0.806], [0.142, 0.010, 0.194], [0.358, 0.510, 0.556], [0.490, 0.642, 0.944], [0.510, 0.358, 0.444], [0.642, 0.490, 0.056], [0.858, 0.990, 0.694], [0.990, 0.858, 0.306], [0.002, 0.503, 0.282], [0.003, 0.498, 0.532], [0.005, 0.599, 0.400], [0.005, 0.991, 0.398], [0.009, 0.995, 0.102], [0.014, 0.176, 0.712], [0.023, 0.812, 0.700], [0.099, 0.495, 0.650], [0.175, 0.701, 0.873], [0.176, 0.014, 0.288], [0.183, 0.183, 0.500], [0.188, 0.977, 0.800], [0.189, 0.298, 0.372], [0.197, 0.197, 0.000], [0.200, 0.794, 0.992], [0.201, 0.325, 0.123], [0.202, 0.689, 0.122], [0.206, 0.800, 0.508], [0.294, 0.300, 0.242], [0.298, 0.189, 0.628], [0.299, 0.825, 0.627], [0.300, 0.294, 0.758], [0.303, 0.697, 0.750], [0.311, 0.798, 0.378], [0.312, 0.477, 0.950], [0.317, 0.683, 0.250], [0.324, 0.514, 0.462], [0.325, 0.201, 0.877], [0.401, 0.995, 0.100], [0.477, 0.312, 0.050], [0.486, 0.676, 0.038], [0.491, 0.495, 0.648], [0.495, 0.099, 0.350], [0.495, 0.491, 0.352], [0.497, 0.998, 0.218], [0.498, 0.003, 0.468], [0.502, 0.997, 0.968], [0.503, 0.002, 0.718], [0.505, 0.509, 0.852], [0.505, 0.901, 0.850], [0.509, 0.505, 0.148], [0.514, 0.324, 0.538], [0.523, 0.688, 0.550], [0.599, 0.005, 0.600], [0.675, 0.799, 0.377], [0.676, 0.486, 0.962], [0.683, 0.317, 0.750], [0.688, 0.523, 0.450], [0.689, 0.202, 0.878], [0.697, 0.303, 0.250], [0.700, 0.706, 0.258], [0.701, 0.175, 0.127], [0.702, 0.811, 0.128], [0.706, 0.700, 0.742], [0.794, 0.200, 0.008], [0.798, 0.311, 0.622], [0.799, 0.675, 0.623], [0.800, 0.206, 0.492], [0.803, 0.803, 0.500], [0.811, 0.702, 0.872], [0.812, 0.023, 0.300], [0.817, 0.817, 0.000], [0.824, 0.986, 0.788], [0.825, 0.299, 0.373], [0.901, 0.505, 0.150], [0.977, 0.188, 0.200], [0.986, 0.824, 0.212], [0.991, 0.005, 0.602], [0.995, 0.009, 0.898], [0.995, 0.401, 0.900], [0.997, 0.502, 0.032], [0.998, 0.497, 0.782]]}

=====

Entry 8:
{"formula": "Sm9InSi3S21", "functional": "PBE", "state": "optimized geometry", "final_energy_ev_per_atom": -5.97, "e_form_mev_per_atom": -1912, "lattice_angstrom": [[8.782, 5.070, 5.701], [-8.782, 5.070, 5.701], [0.000, -10.140, 5.701]], "species": ["Sm", "Sm", "Sm", "Sm", "Sm", "Sm", "Sm", "Sm", "Sm", "Sm", "Sm", "Sm", "Sm", "Sm", "Sm", "Sm", "Sm", "Sm", "In", "In", "Si", "Si", "Si", "Si", "Si", "Si", "S", "S", "S", "S", "S", "S", "S", "S", "S", "S", "S", "S", "S", "S", "S", "S", "S", "S", "S", "S", "S", "S", "S", "S", "S", "S", "S", "S", "S", "S", "S", "S", "S", "S", "S", "S", "S", "S", "S", "S", "S", "S"], "frac_coords": [[0.035, 0.154, 0.810], [0.038, 0.802, 0.673], [0.126, 0.999, 0.362], [0.138, 0.373, 0.503], [0.154, 0.810, 0.035], [0.345, 0.689, 0.466], [0.362, 0.126, 0.999], [0.373, 0.503, 0.138], [0.463, 0.699, 0.825], [0.466, 0.345, 0.689], [0.503, 0.138, 0.373], [0.673, 0.038, 0.802], [0.689, 0.466, 0.345], [0.699, 0.825, 0.463], [0.802, 0.673, 0.038], [0.810, 0.035, 0.154], [0.825, 0.463, 0.699], [0.999, 0.362, 0.126], [0.246, 0.246, 0.246], [0.746, 0.746, 0.746], [0.030, 0.696, 0.362], [0.195, 0.529, 0.863], [0.362, 0.030, 0.696], [0.529, 0.863, 0.195], [0.696, 0.362, 0.030], [0.863, 0.195, 0.529], [0.025, 0.191, 0.278], [0.033, 0.143, 0.559], [0.072, 0.403, 0.742], [0.102, 0.623, 0.511], [0.138, 0.969, 0.878], [0.143, 0.559, 0.033], [0.181, 0.763, 0.290], [0.191, 0.278, 0.025], [0.210, 0.463, 0.299], [0.219, 0.701, 0.813], [0.242, 0.904, 0.571], [0.278, 0.025, 0.191], [0.290, 0.181, 0.763], [0.299, 0.210, 0.463], [0.353, 0.521, 0.612], [0.367, 0.478, 0.890], [0.403, 0.742, 0.072], [0.435, 0.955, 0.843], [0.463, 0.299, 0.210], [0.478, 0.890, 0.367], [0.511, 0.102, 0.623], [0.521, 0.612, 0.353], [0.551, 0.804, 0.638], [0.559, 0.033, 0.143], [0.571, 0.242, 0.904], [0.612, 0.353, 0.521], [0.623, 0.511, 0.102], [0.638, 0.551, 0.804], [0.685, 0.848, 0.938], [0.701, 0.813, 0.219], [0.742, 0.072, 0.403], [0.763, 0.290, 0.181], [0.804, 0.638, 0.551], [0.813, 0.219, 0.701], [0.843, 0.435, 0.955], [0.848, 0.938, 0.685], [0.878, 0.138, 0.969], [0.890, 0.367, 0.478], [0.904, 0.571, 0.242], [0.938, 0.685, 0.848], [0.955, 0.843, 0.435], [0.969, 0.878, 0.138]]}

=====

Q: What is the formula in the first record?
A: In5S8